[1]
Below is an optimized crystal structure of La8Cu3O16, with properties calculated at the PBE level.

POSCAR file:
```
La8Cu3O16
1.0
7.536 0.000 0.000
-1.903 8.653 0.000
-1.850 -1.167 11.408
La Cu O
16 6 32
direct
0.813 0.047 0.725
0.675 0.948 0.277
0.325 0.052 0.723
0.825 0.797 0.982
0.809 0.296 0.481
0.829 0.549 0.226
0.313 0.794 0.983
0.330 0.294 0.484
0.187 0.953 0.275
0.670 0.706 0.516
0.687 0.206 0.017
0.692 0.451 0.778
0.191 0.704 0.519
0.175 0.203 0.018
0.308 0.549 0.222
0.171 0.451 0.774
0.000 0.000 0.500
0.000 0.249 0.250
0.500 0.250 0.250
0.000 0.751 0.750
0.500 0.500 0.000
0.500 0.750 0.750
0.999 0.870 0.622
0.899 0.775 0.357
0.501 0.875 0.629
0.759 0.003 0.502
0.415 0.763 0.364
0.918 0.018 0.117
0.918 0.516 0.619
0.585 0.237 0.636
0.998 0.368 0.125
0.499 0.125 0.371
0.241 0.997 0.498
0.748 0.246 0.248
0.749 0.746 0.748
0.101 0.225 0.643
0.601 0.974 0.890
0.600 0.473 0.392
0.898 0.271 0.856
0.400 0.527 0.608
0.399 0.026 0.110
0.502 0.379 0.127
0.251 0.254 0.252
0.744 0.504 0.002
0.252 0.754 0.752
0.001 0.130 0.378
0.418 0.266 0.866
0.082 0.982 0.883
0.082 0.484 0.381
0.582 0.734 0.134
0.256 0.496 0.998
0.498 0.621 0.873
0.102 0.729 0.144
0.002 0.632 0.875
```

## Properties
SG: P-1, No. 2
DFT total energy in Ry per atom: -0.551
Magnetic moment in μB per atom: 0.023

***

[2]
Below is an optimized crystal structure of La2Cu2O5, with properties calculated at the PBE level.

POSCAR file:
```
La2Cu2O5
1.0
3.925 0.000 0.000
0.000 5.486 0.000
0.000 0.000 10.544
La Cu O
4 4 10
direct
0.500 0.194 0.863
0.500 0.806 0.137
0.500 0.694 0.637
0.500 0.306 0.363
0.000 0.204 0.605
0.000 0.796 0.395
0.000 0.704 0.895
0.000 0.296 0.105
0.000 0.500 0.500
0.000 0.000 0.000
0.000 0.417 0.791
0.000 0.583 0.209
0.000 0.917 0.709
0.000 0.083 0.291
0.500 0.214 0.604
0.500 0.786 0.396
0.500 0.286 0.104
0.500 0.714 0.896
```

## Properties
SG: Pbam, No. 55
DFT total energy in Ry per atom: -0.507
Magnetic moment in μB per atom: 0.023

***

[3]
Below is an optimized crystal structure of La2CuO4, with properties calculated at the PBE level.

POSCAR file:
```
La2CuO4
1.0
0.000 2.705 6.584
2.697 0.000 6.584
2.697 2.705 0.000
La Cu O
2 1 4
direct
0.362 0.360 0.640
0.640 0.638 0.362
0.998 0.002 0.998
0.001 0.999 0.498
0.498 0.502 0.001
0.159 0.212 0.788
0.788 0.841 0.159
```

## Properties
SG: Fmm2, No. 42
DFT total energy in Ry per atom: -0.544
Magnetic moment in μB per atom: 0.000

***

[4]
Below is an optimized crystal structure of La2CuO4, with properties calculated at the PBE level.

POSCAR file:
```
La2CuO4
1.0
3.814 0.000 0.000
0.000 3.814 0.000
-1.907 -1.907 6.612
La Cu O
2 1 4
direct
0.361 0.361 0.722
0.639 0.639 0.278
0.000 0.000 0.000
0.000 0.500 0.000
0.500 0.000 0.000
0.186 0.186 0.372
0.814 0.814 0.628
```

## Properties
SG: I4/mmm, No. 139
DFT total energy in Ry per atom: -0.544
Magnetic moment in μB per atom: 0.000

***

| no. | energy relative to the lowest polymorph listed for this composition (eV/atom) | formation energy (eV per formula unit) |
| --- | --- | --- |
| 1 | 0.000 | -82.59 |
| 2 | 0.013 | -22.72 |
| 3 | 0.070 | -20.80 |
| 4 | 0.070 | -20.80 |